Entry from Materials Project: Gd6Ga21Co7 after structural relaxation (PBE).

abc: 16.751 16.751 4.189
angles: 90.00 90.00 90.00
Space group P4/mbm (No. 127)
Asymmetric unit:
Gd: 0.087 0.158 0.000 [8 per cell]
Gd: 0.108 0.608 0.500 [4 per cell]
Ga: 0.000 0.500 0.000 [2 per cell]
Ga: 0.032 0.889 0.500 [8 per cell]
Ga: 0.044 0.272 0.500 [8 per cell]
Ga: 0.074 0.426 0.500 [4 per cell]
Ga: 0.075 0.743 0.000 [8 per cell]
Ga: 0.179 0.790 0.500 [8 per cell]
Ga: 0.180 0.320 0.000 [4 per cell]
Co: 0.000 0.000 0.000 [2 per cell]
Co: 0.037 0.352 0.000 [8 per cell]
Co: 0.218 0.718 0.000 [4 per cell]

Computed properties:
raw total energy: -6.2893 eV/atom